Density functional theory data (PBE-GGA) for a geometry-optimized Tl3SiF7 structure.

Summary:
Its offset from the most stable computed form is 0.012 eV per atom. The value obtained for the volume is 18.51 Å³ per atom. For the total energy, the calculation gives -105.679 eV for the cell shown. Its formation energy is -2742 meV/atom.

Cell: 6.932 8.164 8.227 Å, 119.01 90.19 90.74°
Atoms (fractional coordinates):
Tl: 0.740 0.689 0.850
Tl: 0.247 0.858 0.169
Tl: 0.749 0.157 0.315
Tl: 0.234 0.833 0.693
Tl: 0.249 0.355 0.188
Tl: 0.738 0.166 0.830
F: 0.608 0.774 0.296
F: 0.002 0.021 0.044
F: 0.358 0.299 0.478
F: 0.122 0.480 0.720
F: 0.499 0.972 0.973
F: 0.150 0.256 0.835
F: 0.660 0.440 0.177
F: 0.074 0.144 0.511
F: 0.928 0.653 0.207
F: 0.436 0.422 0.809
F: 0.910 0.513 0.408
F: 0.586 0.636 0.502
F: 0.854 0.843 0.538
F: 0.390 0.088 0.604
Si: 0.253 0.286 0.660
Si: 0.757 0.646 0.354

Density functional theory data (PBE-GGA) for a geometry-optimized SrB2 structure.

Summary:
The value obtained for the volume is 14.03 Å³ per atom. For the total energy, the calculation gives -14.502 eV for the cell shown. Its formation energy is 182 meV/atom.

Cell: 3.321 3.321 4.408 Å, 90.00 90.00 120.00°
Atoms (fractional coordinates):
B: 0.333 0.667 0.500
B: 0.667 0.333 0.500
Sr: 0.000 0.000 0.000

Density functional theory data (PBE-GGA) for a geometry-optimized BaNdEuSbO6 structure.

Summary:
Its offset from the most stable computed form is 0.000 eV per atom. The value obtained for the volume is 15.72 Å³ per atom. For the total energy, the calculation gives -153.001 eV for the cell shown. Its formation energy is -2986 meV/atom.

Cell: 6.031 6.082 8.569 Å, 90.39 90.34 90.20°
Atoms (fractional coordinates):
O: 0.302 0.737 0.961
O: 0.233 0.194 0.954
O: 0.189 0.228 0.543
O: 0.263 0.701 0.534
O: 0.589 0.006 0.770
O: 0.698 0.263 0.039
O: 0.811 0.772 0.457
O: 0.936 0.533 0.731
O: 0.767 0.806 0.046
O: 0.411 0.994 0.230
O: 0.737 0.299 0.466
O: 0.064 0.467 0.269
Eu: 0.992 0.038 0.252
Eu: 0.008 0.962 0.748
Sb: 0.500 0.000 0.000
Sb: 0.000 0.500 0.500
Nd: 0.500 0.000 0.500
Nd: 0.000 0.500 0.000
Ba: 0.494 0.473 0.750
Ba: 0.506 0.527 0.250

Density functional theory data (PBE-GGA) for a geometry-optimized MnMo3 structure.

Summary:
The value obtained for the volume is 23.39 Å³ per atom. For the total energy, the calculation gives -35.906 eV for the cell shown. Its formation energy is 1448 meV/atom.

Cell: 6.553 6.553 6.553 Å, 118.33 118.33 118.33°
Atoms (fractional coordinates):
Mo: 0.000 0.793 0.207
Mo: 0.207 0.000 0.793
Mo: 0.793 0.207 0.000
Mn: 0.000 0.000 0.000

Density functional theory data (PBE-GGA) for a geometry-optimized Rb2Mn3Se4 structure.

Summary:
The value obtained for the volume is 29.88 Å³ per atom. For the total energy, the calculation gives -99.669 eV for the cell shown. Its formation energy is -921 meV/atom.

Cell: 9.854 9.854 9.854 Å, 142.95 105.19 86.55°
Atoms (fractional coordinates):
Mn: 0.022 0.250 0.772
Mn: 0.750 0.250 0.500
Mn: 0.522 0.750 0.772
Mn: 0.478 0.250 0.228
Mn: 0.978 0.750 0.228
Mn: 0.250 0.750 0.500
Se: 0.014 0.426 0.146
Se: 0.780 0.926 0.412
Se: 0.280 0.868 0.854
Se: 0.986 0.574 0.854
Se: 0.486 0.632 0.412
Se: 0.514 0.368 0.588
Se: 0.720 0.132 0.146
Se: 0.220 0.074 0.588
Rb: 0.122 0.237 0.359
Rb: 0.378 0.737 0.115
Rb: 0.878 0.763 0.641
Rb: 0.622 0.263 0.885

Density functional theory data (PBE-GGA) for a geometry-optimized Sm3Rh2 structure.

Summary:
The value obtained for the volume is 24.90 Å³ per atom. For the total energy, the calculation gives -96.703 eV for the cell shown. Its formation energy is -670 meV/atom.

Cell: 7.537 7.537 7.537 Å, 71.46 71.46 71.46°
Atoms (fractional coordinates):
Sm: 0.703 0.703 0.703
Sm: 0.892 0.662 0.166
Sm: 0.166 0.892 0.662
Sm: 0.500 0.500 0.500
Sm: 0.338 0.834 0.108
Sm: 0.297 0.297 0.297
Sm: 0.108 0.338 0.834
Sm: 0.662 0.166 0.892
Sm: 0.834 0.108 0.338
Rh: 0.910 0.336 0.544
Rh: 0.456 0.090 0.664
Rh: 0.544 0.910 0.336
Rh: 0.090 0.664 0.456
Rh: 0.336 0.544 0.910
Rh: 0.664 0.456 0.090